(1)
The following is a GGA+U calculation of an optimized crystal structure of MnH2O2, from the Materials Project database.

Cell lengths 3.6068, 3.6068, 4.4675 Å; angles 90.00, 90.00, 120.00 degrees
Closest atoms and distances in Å follow each position.
Fractional coordinates of all 5 atoms:
Mn  0.3333  0.6667  0.9772  3 H 2.09, 6 O 2.23-2.32
H  0.0000  0.0000  0.0170  1 O 0.99
H  0.6667  0.3333  0.4255  1 O 0.98
O  0.0000  0.0000  0.7958  1 H 0.99
O  0.6667  0.3333  0.2069  1 H 0.98

(2)
The following is a GGA+U calculation of an optimized crystal structure of Mn12HO24, from the Materials Project database.

Cell lengths 5.9143, 9.1412, 16.4491 Å; angles 58.35, 90.00, 90.00 degrees
Closest atoms and distances in Å follow each position.
Fractional coordinates of all 74 atoms:
Mn  0.8748  0.0011  0.5011  6 O 1.93-1.97
Mn  0.8764  0.4994  0.5005  6 O 1.92-1.96
Mn  0.3751  0.0000  0.4998  6 O 1.93-1.97
Mn  0.3735  0.4999  0.5011  6 O 1.92-1.97
Mn  0.8750  0.6029  0.1587  6 O 1.92-1.98
Mn  0.8746  0.1008  0.1596  6 O 1.93-1.96
Mn  0.3749  0.5993  0.1579  6 O 1.92-1.96
Mn  0.3750  0.1069  0.1551  6 O 1.88-2.05
Mn  0.8801  0.8980  0.8437  6 O 1.90-2.04
Mn  0.8748  0.3976  0.8422  6 O 1.92-1.96
Mn  0.3703  0.8970  0.8440  6 O 1.90-2.04
Mn  0.3751  0.3978  0.8421  6 O 1.93-1.96
Mn  0.6249  0.0000  0.9998  6 O 1.93-1.97
Mn  0.6265  0.4999  0.0011  6 O 1.92-1.97
Mn  0.1252  0.0011  0.0011  6 O 1.93-1.97
Mn  0.1236  0.4994  0.0005  6 O 1.92-1.96
Mn  0.6250  0.1069  0.6551  6 O 1.88-2.05
Mn  0.6251  0.5993  0.6579  6 O 1.92-1.96
Mn  0.1254  0.1008  0.6596  6 O 1.93-1.96
Mn  0.1250  0.6029  0.6587  6 O 1.92-1.98
Mn  0.6249  0.3978  0.3421  6 O 1.93-1.96
Mn  0.6297  0.8970  0.3440  6 O 1.90-2.04
Mn  0.1252  0.3976  0.3422  6 O 1.92-1.96
Mn  0.1199  0.8980  0.3437  6 O 1.90-2.04
H  0.3749  0.7612  0.2664  1 O 0.98
H  0.6251  0.7612  0.7664  1 O 0.98
O  0.8767  0.6561  0.9386  3 Mn 1.92-1.94
O  0.8741  0.1564  0.9380  3 Mn 1.92-1.94
O  0.3740  0.6553  0.9393  3 Mn 1.92-1.94
O  0.3757  0.1564  0.9384  3 Mn 1.93
O  0.8747  0.8444  0.0623  3 Mn 1.93-1.94
O  0.8742  0.3432  0.0619  3 Mn 1.92-1.94
O  0.3752  0.8434  0.0624  3 Mn 1.94
O  0.3750  0.3436  0.0622  3 Mn 1.88-1.94
O  0.1259  0.1564  0.4380  3 Mn 1.92-1.94
O  0.1233  0.6561  0.4386  3 Mn 1.92-1.94
O  0.6243  0.1564  0.4384  3 Mn 1.93
O  0.6260  0.6553  0.4393  3 Mn 1.92-1.94
O  0.6250  0.3436  0.5622  3 Mn 1.88-1.94
O  0.6248  0.8434  0.5624  3 Mn 1.94
O  0.1258  0.3432  0.5619  3 Mn 1.92-1.94
O  0.1253  0.8444  0.5623  3 Mn 1.93-1.94
O  0.1254  0.9486  0.8992  3 Mn 1.90-1.97
O  0.1249  0.4480  0.8987  3 Mn 1.93-1.96
O  0.6251  0.9464  0.8985  3 Mn 1.92-1.97
O  0.6250  0.4540  0.8964  3 Mn 1.93-1.97
O  0.1231  0.5505  0.1024  3 Mn 1.92-1.96
O  0.1251  0.0535  0.1020  3 Mn 1.91-1.95
O  0.6269  0.5514  0.1022  3 Mn 1.92-1.95
O  0.6244  0.0523  0.1013  3 Mn 1.92-1.96
O  0.8751  0.4480  0.3987  3 Mn 1.93-1.96
O  0.8746  0.9486  0.3992  3 Mn 1.90-1.97
O  0.3750  0.4540  0.3964  3 Mn 1.93-1.97
O  0.3749  0.9464  0.3985  3 Mn 1.92-1.97
O  0.8749  0.0535  0.6020  3 Mn 1.91-1.95
O  0.8769  0.5505  0.6024  3 Mn 1.92-1.96
O  0.3756  0.0523  0.6013  3 Mn 1.92-1.96
O  0.3731  0.5514  0.6022  3 Mn 1.92-1.95
O  0.1251  0.8698  0.7740  3 Mn 1.95-1.96
O  0.1251  0.3724  0.7728  3 Mn 1.95-1.96
O  0.6248  0.8624  0.7724  1 H 0.98
O  0.6249  0.3700  0.7731  3 Mn 1.95-1.96
O  0.1291  0.6294  0.2279  3 Mn 1.96-1.98, 1 H 2.18
O  0.1270  0.1268  0.2280  3 Mn 1.95-1.96
O  0.6207  0.6293  0.2280  3 Mn 1.96-1.98, 1 H 2.18
O  0.6230  0.1257  0.2285  3 Mn 1.95-1.96
O  0.8749  0.3724  0.2728  3 Mn 1.95-1.96
O  0.8749  0.8698  0.2740  3 Mn 1.95-1.96
O  0.3751  0.3700  0.2731  3 Mn 1.95-1.96
O  0.3752  0.8624  0.2724  1 H 0.98
O  0.8730  0.1268  0.7280  3 Mn 1.95-1.96
O  0.8709  0.6294  0.7279  3 Mn 1.96-1.98, 1 H 2.18
O  0.3770  0.1257  0.7285  3 Mn 1.95-1.96
O  0.3793  0.6293  0.7280  3 Mn 1.96-1.98, 1 H 2.18

(3)
The following is a GGA+U calculation of an optimized crystal structure of Mn3H2O6, from the Materials Project database.

Cell lengths 7.6404, 7.6404, 4.6732 Å; angles 89.65, 89.65, 22.28 degrees
Closest atoms and distances in Å follow each position.
Fractional coordinates of all 11 atoms:
Mn  0.0000  0.0000  0.5000  6 O 1.93-1.99
Mn  0.6443  0.6443  0.0306  5 O 1.95-2.08
Mn  0.3557  0.3557  0.9694  5 O 1.95-2.08
H  0.8205  0.8205  0.3974  1 O 1.00
H  0.1795  0.1795  0.6026  1 O 1.00
O  0.4561  0.4561  0.2733  3 Mn 1.93-2.08
O  0.5439  0.5439  0.7267  3 Mn 1.93-2.08
O  0.8844  0.8844  0.7131  1 H 1.76, 2 Mn 1.95
O  0.1156  0.1156  0.2869  1 H 1.76, 2 Mn 1.95
O  0.7969  0.7969  0.1971  1 H 1.00
O  0.2031  0.2031  0.8029  1 H 1.00

(4)
The following is a GGA+U calculation of an optimized crystal structure of Mn2HO4, from the Materials Project database.

Relative energy among the computed polymorphs, eV/atom: 0.025

Cell lengths 5.9930, 10.2563, 10.2576 Å; angles 90.01, 90.00, 90.00 degrees
Closest atoms and distances in Å follow each position.
Fractional coordinates of all 56 atoms:
Mn  0.4963  0.6474  0.8331  6 O 1.91-2.05
Mn  0.0052  0.6453  0.8377  5 O 1.90-2.04
Mn  0.5053  0.1622  0.6453  5 O 1.90-2.04
Mn  0.9963  0.1669  0.6474  6 O 1.91-2.05
Mn  0.9962  0.8331  0.3526  6 O 1.91-2.05
Mn  0.5052  0.8377  0.3547  5 O 1.90-2.04
Mn  0.0052  0.3547  0.1623  5 O 1.90-2.04
Mn  0.4962  0.3526  0.1669  6 O 1.91-2.05
Mn  0.2537  0.1473  0.3332  6 O 1.91-2.05
Mn  0.7447  0.1452  0.3379  5 O 1.90-2.04
Mn  0.2447  0.6622  0.1452  5 O 1.90-2.04
Mn  0.7537  0.6668  0.1473  6 O 1.91-2.05
Mn  0.2448  0.3378  0.8548  5 O 1.90-2.04
Mn  0.7538  0.3332  0.8527  6 O 1.91-2.05
Mn  0.2537  0.8527  0.6667  6 O 1.91-2.05
Mn  0.7448  0.8548  0.6621  5 O 1.90-2.04
H  0.2514  0.6452  0.4320  1 O 0.97
H  0.4986  0.1453  0.9321  1 O 0.97
H  0.4984  0.8548  0.0681  1 O 0.97
H  0.9984  0.0679  0.1453  1 O 0.97
H  0.9986  0.9321  0.8547  1 O 0.97
H  0.2517  0.3549  0.5681  1 O 0.97
H  0.7517  0.5680  0.6452  1 O 0.97
H  0.7515  0.4321  0.3548  1 O 0.97
O  0.2533  0.3381  0.0477  3 Mn 1.90-1.98
O  0.7496  0.3341  0.0436  3 Mn 1.96-1.98
O  0.2495  0.9564  0.3341  3 Mn 1.96-1.98
O  0.7532  0.9523  0.3382  3 Mn 1.90-1.98
O  0.2496  0.0436  0.6659  3 Mn 1.96-1.98
O  0.7533  0.0477  0.6618  3 Mn 1.90-1.98
O  0.2533  0.6619  0.9523  3 Mn 1.90-1.98
O  0.7496  0.6660  0.9563  3 Mn 1.96-1.98
O  0.0003  0.8342  0.5435  3 Mn 1.96-1.98
O  0.4967  0.8383  0.5475  3 Mn 1.90-1.98
O  0.9968  0.4525  0.8383  3 Mn 1.90-1.98
O  0.5004  0.4565  0.8342  3 Mn 1.96-1.98
O  0.5003  0.5435  0.1658  3 Mn 1.96-1.98
O  0.9967  0.5475  0.1616  3 Mn 1.90-1.98
O  0.4967  0.1617  0.4525  3 Mn 1.90-1.98
O  0.0004  0.1658  0.4565  3 Mn 1.96-1.98
O  0.5019  0.1605  0.2064  3 Mn 1.98-2.01
O  0.9950  0.1433  0.2031  1 H 0.97
O  0.0018  0.7937  0.1605  3 Mn 1.98-2.01
O  0.4949  0.7969  0.1434  1 H 0.97
O  0.9950  0.8566  0.7969  1 H 0.97
O  0.5019  0.8395  0.7936  3 Mn 1.98-2.01
O  0.4951  0.2031  0.8567  1 H 0.97
O  0.0019  0.2064  0.8394  3 Mn 1.98-2.01
O  0.2481  0.6606  0.7062  3 Mn 1.98-2.01
O  0.7550  0.6434  0.7030  1 H 0.97
O  0.2551  0.2970  0.6435  1 H 0.97
O  0.7481  0.2938  0.6606  3 Mn 1.98-2.01
O  0.2481  0.3394  0.2938  3 Mn 1.98-2.01
O  0.7549  0.3566  0.2970  1 H 0.97
O  0.2549  0.7030  0.3566  1 H 0.97
O  0.7480  0.7062  0.3394  3 Mn 1.98-2.01

| no. | ΔE_f (eV/atom) |
| --- | --- |
| 1 | -1.348 |
| 2 | -1.778 |
| 3 | -1.745 |
| 4 | -1.730 |